The following is a DFT calculation (PBE) of a geometry-optimized Na10Zn4Si5Ge4S7O48 structure.

Structure (POSCAR):
```
Na10Zn4Si5Ge4S7O48
1.0
8.836 0.000 0.000
0.044 15.313 0.000
0.206 0.156 22.004
Na Zn Si Ge S O
30 12 15 12 21 144
direct
0.000 0.000 0.000
0.000 0.336 0.333
0.114 0.175 0.413
0.123 0.843 0.079
0.125 0.506 0.743
0.126 0.835 0.581
0.129 0.505 0.248
0.144 0.178 0.916
0.265 0.336 0.833
0.266 0.001 0.500
0.268 0.669 0.165
0.303 0.652 0.822
0.328 0.348 0.165
0.330 0.013 0.823
0.436 0.510 0.324
0.437 0.850 0.664
0.461 0.152 0.321
0.498 0.836 0.332
0.500 0.500 0.999
0.625 0.006 0.744
0.626 0.335 0.579
0.630 0.676 0.414
0.640 0.332 0.079
0.644 0.680 0.915
0.655 0.009 0.242
0.765 0.500 0.499
0.765 0.837 0.833
0.803 0.152 0.823
0.830 0.513 0.822
0.938 0.351 0.663
0.123 0.493 0.891
0.125 0.838 0.223
0.127 0.170 0.558
0.139 0.834 0.725
0.140 0.166 0.059
0.140 0.496 0.390
0.622 0.993 0.892
0.627 0.669 0.558
0.629 0.332 0.226
0.639 0.335 0.725
0.641 0.670 0.057
0.645 0.998 0.392
0.273 0.023 0.655
0.276 0.688 0.320
0.286 0.348 0.989
0.343 0.330 0.323
0.422 0.831 0.823
0.487 0.186 0.822
0.489 0.851 0.489
0.490 0.519 0.153
0.774 0.523 0.655
0.778 0.183 0.323
0.785 0.850 0.988
0.922 0.330 0.823
0.981 0.350 0.489
0.988 0.687 0.823
0.991 0.022 0.156
0.109 0.501 0.591
0.115 0.165 0.263
0.122 0.820 0.925
0.150 0.170 0.761
0.150 0.492 0.091
0.154 0.825 0.428
0.610 0.000 0.593
0.617 0.663 0.257
0.621 0.316 0.925
0.643 0.318 0.425
0.650 0.670 0.761
0.664 0.997 0.094
0.272 0.648 0.991
0.272 0.980 0.326
0.280 0.316 0.657
0.337 0.661 0.658
0.344 0.997 0.993
0.419 0.498 0.493
0.429 0.160 0.158
0.491 0.148 0.491
0.491 0.481 0.825
0.492 0.817 0.158
0.773 0.147 0.991
0.775 0.484 0.324
0.780 0.816 0.657
0.837 0.160 0.658
0.845 0.497 0.993
0.845 0.829 0.326
0.921 0.663 0.159
0.921 0.996 0.492
0.986 0.315 0.158
0.991 0.981 0.825
0.993 0.649 0.490
0.002 0.418 0.550
0.012 0.927 0.772
0.017 0.581 0.156
0.017 0.913 0.489
0.018 0.264 0.104
0.021 0.088 0.217
0.024 0.595 0.437
0.025 0.236 0.816
0.025 0.737 0.164
0.026 0.070 0.497
0.038 0.410 0.830
0.042 0.396 0.429
0.049 0.063 0.093
0.051 0.255 0.499
0.057 0.925 0.165
0.059 0.591 0.832
0.063 0.942 0.881
0.064 0.280 0.215
0.065 0.731 0.765
0.065 0.739 0.486
0.066 0.611 0.547
0.067 0.070 0.821
0.067 0.406 0.153
0.198 0.736 0.990
0.200 0.278 0.716
0.200 0.404 0.654
0.202 0.942 0.384
0.203 0.069 0.322
0.203 0.607 0.049
0.211 0.924 0.661
0.213 0.254 0.000
0.216 0.732 0.259
0.217 0.067 0.594
0.217 0.590 0.331
0.225 0.395 0.929
0.226 0.410 0.330
0.237 0.738 0.662
0.240 0.073 0.997
0.240 0.236 0.316
0.243 0.596 0.937
0.244 0.085 0.718
0.247 0.578 0.652
0.247 0.925 0.274
0.249 0.263 0.605
0.249 0.916 0.991
0.261 0.755 0.380
0.266 0.416 0.050
0.291 0.515 0.151
0.292 0.850 0.487
0.297 0.179 0.819
0.304 0.810 0.884
0.316 0.487 0.549
0.327 0.497 0.832
0.328 0.158 0.498
0.328 0.825 0.164
0.330 0.177 0.106
0.331 0.854 0.763
0.335 0.511 0.437
0.338 0.149 0.216
0.428 0.011 0.936
0.428 0.649 0.716
0.435 0.354 0.263
0.436 0.677 0.605
0.437 0.657 0.997
0.437 0.991 0.331
0.441 0.326 0.665
0.445 0.987 0.048
0.461 0.311 0.384
0.470 0.013 0.653
0.474 0.682 0.317
0.482 0.349 0.984
0.495 0.251 0.884
0.507 0.584 0.216
0.508 0.919 0.550
0.512 0.427 0.772
0.513 0.416 0.492
0.519 0.076 0.152
0.519 0.097 0.437
0.521 0.760 0.106
0.522 0.573 0.497
0.525 0.736 0.816
0.529 0.237 0.161
0.538 0.911 0.830
0.547 0.568 0.094
0.547 0.897 0.427
0.553 0.421 0.159
0.557 0.756 0.498
0.559 0.090 0.832
0.563 0.443 0.882
0.563 0.778 0.217
0.564 0.905 0.153
0.565 0.107 0.547
0.565 0.231 0.765
0.566 0.236 0.489
0.567 0.570 0.821
0.695 0.573 0.319
0.698 0.236 0.989
0.699 0.089 0.332
0.700 0.447 0.380
0.700 0.778 0.716
0.700 0.904 0.654
0.701 0.107 0.047
0.701 0.228 0.266
0.711 0.424 0.661
0.713 0.755 0.998
0.717 0.567 0.594
0.725 0.894 0.927
0.737 0.237 0.662
0.740 0.904 0.330
0.742 0.573 0.998
0.745 0.097 0.936
0.745 0.585 0.719
0.746 0.077 0.652
0.746 0.747 0.322
0.748 0.763 0.605
0.751 0.430 0.271
0.752 0.416 0.992
0.764 0.921 0.048
0.768 0.249 0.384
0.783 0.349 0.484
0.796 0.016 0.154
0.797 0.679 0.819
0.804 0.310 0.884
0.823 0.650 0.216
0.823 0.984 0.549
0.825 0.328 0.166
0.827 0.997 0.832
0.829 0.658 0.496
0.831 0.354 0.763
0.832 0.676 0.105
0.834 0.010 0.438
0.926 0.148 0.716
0.930 0.511 0.937
0.934 0.842 0.271
0.935 0.176 0.605
0.937 0.157 0.997
0.937 0.497 0.331
0.939 0.817 0.383
0.941 0.826 0.665
0.948 0.487 0.049
0.968 0.181 0.320
0.971 0.513 0.653
0.981 0.850 0.984
0.997 0.752 0.884
```

## Properties
space-group type: P1 (1)
calculated formation energy: -2.138 eV per atom
corrected total energy (MP2020 scheme): -6.373 eV per atom
magnetization: 0.00 μB per formula unit